! GGA+U Li8MnO5F, optimized geometry; values from VASP
! Formation energy   -2.21 eV per atom
! Energy above the most stable polymorph in this dataset   0.000 eV/atom
! Calculated density   2.57 g/cm3
! Calculated volume   9.02 Å³ per atom
! Total DFT energy (no corrections)   -5.243 eV per atom
&SYSTEM
  ibrav = 0, nat = 60, ntyp = 4
/
ATOMIC_SPECIES
Li 6.94 Li.upf
Mn 54.94 Mn.upf
O 16.00 O.upf
F 19.00 F.upf
CELL_PARAMETERS angstrom
0.9703 3.5213 3.9342
-8.3311 -10.1863 12.6313
4.6465 -3.6930 -0.9170
ATOMIC_POSITIONS crystal
Li 0.5050 0.0289 0.3329
Li 0.7550 0.2789 0.0829
Li 0.0050 0.5289 0.8328
Li 0.2549 0.7789 0.5828
Li 0.3611 0.1318 0.5201
Li 0.6111 0.3818 0.2701
Li 0.8612 0.6318 0.0200
Li 0.1111 0.8818 0.7701
Li 0.9500 0.0598 0.5874
Li 0.2000 0.3098 0.3374
Li 0.4500 0.5598 0.0873
Li 0.7000 0.8098 0.8373
Li 0.4366 0.0743 0.9371
Li 0.6866 0.3243 0.6871
Li 0.9366 0.5743 0.4371
Li 0.1866 0.8244 0.1871
Li 0.8289 0.1663 0.7998
Li 0.0789 0.4162 0.5498
Li 0.3289 0.6663 0.2998
Li 0.5789 0.9162 0.0498
Li 0.2857 0.1915 0.1563
Li 0.5357 0.4415 0.9063
Li 0.7857 0.6915 0.6563
Li 0.0357 0.9414 0.4063
Li 0.9112 0.1172 0.2518
Li 0.1612 0.3672 0.0018
Li 0.4111 0.6172 0.7518
Li 0.6612 0.8672 0.5018
Li 0.7426 0.2248 0.4273
Li 0.9925 0.4748 0.1772
Li 0.2425 0.7248 0.9272
Li 0.4926 0.9748 0.6773
Mn 0.4730 0.5054 0.4734
Mn 0.7232 0.7553 0.2236
Mn 0.9733 0.0053 0.9737
Mn 0.2233 0.2553 0.7237
O 0.6478 0.0666 0.6930
O 0.8978 0.3166 0.4430
O 0.1478 0.5667 0.1930
O 0.3978 0.8166 0.9429
O 0.2029 0.0905 0.1491
O 0.4530 0.3405 0.8991
O 0.7029 0.5905 0.6491
O 0.9529 0.8404 0.3990
O 0.7951 0.0159 0.2158
O 0.0450 0.2659 0.9658
O 0.2951 0.5159 0.7158
O 0.5451 0.7659 0.4658
O 0.4429 0.2342 0.5222
O 0.6929 0.4842 0.2720
O 0.9429 0.7342 0.0220
O 0.1930 0.9842 0.7722
O 0.0446 0.1603 0.5916
O 0.2945 0.4103 0.3416
O 0.5445 0.6602 0.0915
O 0.7946 0.9103 0.8416
F 0.6225 0.1826 0.0924
F 0.8725 0.4326 0.8423
F 0.1225 0.6826 0.5924
F 0.3725 0.9325 0.3423